Record 1
Entry from Materials Project: a relaxed PbS crystal (GGA-PBE).

Output
DFT formation energy   -767 meV/atom

Unit cell a=8.5620 b=4.2727 c=6.0771 alpha=90.00 beta=90.00 gamma=90.00
Space group Pnma (No. 62)
Asymmetric unit:
Pb: 0.1235 0.2500 0.2357 [4 per cell]
S: 0.1516 0.2500 0.7053 [4 per cell]

***

Record 2
Entry from Materials Project: a relaxed PbS crystal (GGA-PBE).

Output
DFT formation energy   -726 meV/atom

Unit cell a=6.0043 b=6.0071 c=32.8262 alpha=90.00 beta=90.00 gamma=90.00
Space group Cmce (No. 64)
Asymmetric unit:
Pb: 0.0000 0.1630 0.2067 [8 per cell]
S: 0.0000 0.1611 0.2887 [8 per cell]

***

Copy entry 2 word for word.
Entry from Materials Project: a relaxed PbS crystal (GGA-PBE).

Output
DFT formation energy   -726 meV/atom

Unit cell a=6.0043 b=6.0071 c=32.8262 alpha=90.00 beta=90.00 gamma=90.00
Space group Cmce (No. 64)
Asymmetric unit:
Pb: 0.0000 0.1630 0.2067 [8 per cell]
S: 0.0000 0.1611 0.2887 [8 per cell]

***

DFT formation energy of number 1 (PbS)?
-767 meV/atom